1.
The following is a meta-GGA r2SCAN calculation of a relaxed structure of Y7Rh3, from the Materials Project.

Output
final energy	-22.07	eV/atom
calculated formation energy	-612	meV/atom
ρ	5.94	Mg/m³

a b c (Å): 9.8142 9.8142 6.2387
angles (deg): 90.00 90.00 120.00
Closest atoms and distances in Å follow each position.
Fractional coordinates of all 20 atoms:
Y1 0.0833 0.5417 0.0000  2 Rh 2.83
Y2 0.1241 0.2482 0.3149  3 Rh 2.86-2.87
Y3 0.1241 0.8759 0.3149  3 Rh 2.86-2.87
Y4 0.2482 0.1241 0.8149  3 Rh 2.86-2.87
Y5 0.3333 0.6667 0.5200  3 Rh 2.80
Y6 0.4583 0.5417 0.0000  2 Rh 2.83
Y7 0.4583 0.9167 0.0000  2 Rh 2.83
Y8 0.5417 0.0833 0.5000  2 Rh 2.83
Y9 0.5417 0.4583 0.5000  2 Rh 2.83
Y10 0.6667 0.3333 0.0200  3 Rh 2.80
Y11 0.7518 0.8759 0.3149  3 Rh 2.86-2.87
Y12 0.8759 0.1241 0.8149  3 Rh 2.86-2.87
Y13 0.8759 0.7518 0.8149  3 Rh 2.86-2.87
Y14 0.9167 0.4583 0.5000  2 Rh 2.83
Rh1 0.1893 0.3786 0.7372  6 Y 2.80-2.87
Rh2 0.1893 0.8107 0.7372  6 Y 2.80-2.87
Rh3 0.3786 0.1893 0.2372  6 Y 2.80-2.87
Rh4 0.6214 0.8107 0.7372  6 Y 2.80-2.87
Rh5 0.8107 0.1893 0.2372  6 Y 2.80-2.87
Rh6 0.8107 0.6214 0.2372  6 Y 2.80-2.87

2.
The following is a meta-GGA r2SCAN calculation of a relaxed structure of YRh, from the Materials Project.

Output
final energy	-23.12	eV/atom
calculated formation energy	-892	meV/atom
ρ	7.98	Mg/m³

a b c (Å): 3.4178 3.4178 3.4178
angles (deg): 90.00 90.00 90.00
Closest atoms and distances in Å follow each position.
Fractional coordinates of all 2 atoms:
Y1 0.0000 0.0000 0.0000  8 Rh 2.96
Rh1 0.5000 0.5000 0.5000  8 Y 2.96

3.
The following is a meta-GGA r2SCAN calculation of a relaxed structure of YRh2, from the Materials Project.

Output
final energy	-23.64	eV/atom
calculated formation energy	-780	meV/atom
ρ	9.25	Mg/m³

a b c (Å): 5.3082 5.3082 5.3082
angles (deg): 60.00 60.00 60.00
Closest atoms and distances in Å follow each position.
Fractional coordinates of all 6 atoms:
Y1 0.1250 0.1250 0.1250  12 Rh 3.11, 4 Y 3.25
Y2 0.8750 0.8750 0.8750  12 Rh 3.11, 4 Y 3.25
Rh1 0.0000 0.5000 0.5000  6 Rh 2.65
Rh2 0.5000 0.0000 0.5000  6 Rh 2.65
Rh3 0.5000 0.5000 0.0000  6 Rh 2.65
Rh4 0.5000 0.5000 0.5000  6 Rh 2.65

4.
The following is a meta-GGA r2SCAN calculation of a relaxed structure of Y3Rh, from the Materials Project.

Output
final energy	-21.79	eV/atom
calculated formation energy	-524	meV/atom
ρ	5.62	Mg/m³

a b c (Å): 7.1552 9.5939 6.3600
angles (deg): 90.00 90.00 90.00
Closest atoms and distances in Å follow each position.
Fractional coordinates of all 16 atoms:
Y1 0.0390 0.2500 0.1402  2 Rh 2.75-2.87
Y2 0.1725 0.0649 0.6751  2 Rh 2.84-2.88
Y3 0.1725 0.4351 0.6751  2 Rh 2.84-2.88
Y4 0.3275 0.5649 0.1751  2 Rh 2.84-2.88
Y5 0.3275 0.9351 0.1751  2 Rh 2.84-2.88
Y6 0.4610 0.7500 0.6402  2 Rh 2.75-2.87
Y7 0.5390 0.2500 0.3598  2 Rh 2.75-2.87
Y8 0.6725 0.0649 0.8249  2 Rh 2.84-2.88
Y9 0.6725 0.4351 0.8249  2 Rh 2.84-2.88
Y10 0.8275 0.5649 0.3249  2 Rh 2.84-2.88
Y11 0.8275 0.9351 0.3249  2 Rh 2.84-2.88
Y12 0.9610 0.7500 0.8598  2 Rh 2.75-2.87
Rh1 0.1188 0.7500 0.4442  6 Y 2.75-2.88
Rh2 0.3812 0.2500 0.9442  6 Y 2.75-2.88
Rh3 0.6188 0.7500 0.0558  6 Y 2.75-2.88
Rh4 0.8812 0.2500 0.5558  6 Y 2.75-2.88

5.
The following is a meta-GGA r2SCAN calculation of a relaxed structure of YRh3, from the Materials Project.

Output
final energy	-23.78	eV/atom
calculated formation energy	-600	meV/atom
ρ	9.62	Mg/m³

a b c (Å): 5.2294 5.2294 17.3811
angles (deg): 90.00 90.00 120.00
Closest atoms and distances in Å follow each position.
Fractional coordinates of all 24 atoms:
Y1 0.3333 0.6667 0.0422  12 Rh 3.00-3.30, 3 Y 3.36
Y2 0.3333 0.6667 0.2500  6 Rh 3.02
Y3 0.3333 0.6667 0.4578  12 Rh 3.00-3.30, 3 Y 3.36
Y4 0.6667 0.3333 0.5422  12 Rh 3.00-3.30, 3 Y 3.36
Y5 0.6667 0.3333 0.7500  6 Rh 3.02
Y6 0.6667 0.3333 0.9578  12 Rh 3.00-3.30, 3 Y 3.36
Rh1 0.0000 0.0000 0.0000  6 Rh 2.67
Rh2 0.0000 0.0000 0.2500  6 Rh 2.63
Rh3 0.0000 0.0000 0.5000  6 Rh 2.67
Rh4 0.0000 0.0000 0.7500  6 Rh 2.63
Rh5 0.1672 0.3344 0.6265  7 Rh 2.61-2.67
Rh6 0.1672 0.3344 0.8735  7 Rh 2.61-2.67
Rh7 0.1672 0.8328 0.6265  7 Rh 2.61-2.67
Rh8 0.1672 0.8328 0.8735  7 Rh 2.61-2.67
Rh9 0.3333 0.6667 0.7500  6 Rh 2.62
Rh10 0.3344 0.1672 0.1265  7 Rh 2.61-2.67
Rh11 0.3344 0.1672 0.3735  7 Rh 2.61-2.67
Rh12 0.6656 0.8328 0.6265  7 Rh 2.61-2.67
Rh13 0.6656 0.8328 0.8735  7 Rh 2.61-2.67
Rh14 0.6667 0.3333 0.2500  6 Rh 2.62
Rh15 0.8328 0.1672 0.1265  7 Rh 2.61-2.67
Rh16 0.8328 0.1672 0.3735  7 Rh 2.61-2.67
Rh17 0.8328 0.6656 0.1265  7 Rh 2.61-2.67
Rh18 0.8328 0.6656 0.3735  7 Rh 2.61-2.67

6.
The following is a meta-GGA r2SCAN calculation of a relaxed structure of YZnRh, from the Materials Project.

Output
final energy	-18.54	eV/atom
calculated formation energy	-750	meV/atom
ρ	7.60	Mg/m³

a b c (Å): 6.8902 4.0818 7.9897
angles (deg): 90.00 90.00 90.00
Closest atoms and distances in Å follow each position.
Fractional coordinates of all 12 atoms:
Y1 0.0328 0.2500 0.1852  5 Rh 2.91-2.93, 5 Zn 3.10-3.18
Y2 0.4672 0.7500 0.6852  5 Rh 2.91-2.93, 5 Zn 3.10-3.18
Y3 0.5328 0.2500 0.3148  5 Rh 2.91-2.93, 5 Zn 3.10-3.18
Y4 0.9672 0.7500 0.8148  5 Rh 2.91-2.93, 5 Zn 3.10-3.18
Zn1 0.1426 0.2500 0.5648  4 Rh 2.61-2.66
Zn2 0.3574 0.7500 0.0648  4 Rh 2.61-2.66
Zn3 0.6426 0.2500 0.9352  4 Rh 2.61-2.66
Zn4 0.8574 0.7500 0.4352  4 Rh 2.61-2.66
Rh1 0.2386 0.7500 0.3792  4 Zn 2.61-2.66, 1 Y 2.91
Rh2 0.2614 0.2500 0.8792  4 Zn 2.61-2.66, 1 Y 2.91
Rh3 0.7386 0.7500 0.1208  4 Zn 2.61-2.66, 1 Y 2.91
Rh4 0.7614 0.2500 0.6208  4 Zn 2.61-2.66, 1 Y 2.91

7.
The following is a meta-GGA r2SCAN calculation of a relaxed structure of YbRh2, from the Materials Project.

Output
final energy	-29.11	eV/atom
calculated formation energy	-839	meV/atom
ρ	12.29	Mg/m³

a b c (Å): 5.2509 5.2509 5.2509
angles (deg): 60.00 60.00 60.00
Closest atoms and distances in Å follow each position.
Fractional coordinates of all 6 atoms:
Yb1 0.1250 0.1250 0.1250  12 Rh 3.08, 4 Yb 3.22
Yb2 0.8750 0.8750 0.8750  12 Rh 3.08, 4 Yb 3.22
Rh1 0.0000 0.5000 0.5000  6 Rh 2.63
Rh2 0.5000 0.0000 0.5000  6 Rh 2.63
Rh3 0.5000 0.5000 0.0000  6 Rh 2.63
Rh4 0.5000 0.5000 0.5000  6 Rh 2.63

8.
The following is a meta-GGA r2SCAN calculation of a relaxed structure of Yb4Rh, from the Materials Project.

Output
final energy	-34.01	eV/atom
calculated formation energy	40	meV/atom
ρ	9.06	Mg/m³

a b c (Å): 7.4412 7.4412 7.4412
angles (deg): 60.00 60.00 60.00
Closest atoms and distances in Å follow each position.
Fractional coordinates of all 10 atoms:
Yb1 0.2102 0.7633 0.7633  1 Rh 2.52
Yb2 0.2367 0.2367 0.2367  1 Rh 2.52
Yb3 0.2367 0.2367 0.7898  1 Rh 2.52
Yb4 0.2367 0.7898 0.2367  1 Rh 2.52
Yb5 0.7633 0.2102 0.7633  1 Rh 2.52
Yb6 0.7633 0.7633 0.2102  1 Rh 2.52
Yb7 0.7633 0.7633 0.7633  1 Rh 2.52
Yb8 0.7898 0.2367 0.2367  1 Rh 2.52
Rh1 0.3750 0.3750 0.3750  4 Yb 2.52
Rh2 0.6250 0.6250 0.6250  4 Yb 2.52

9.
The following is a meta-GGA r2SCAN calculation of a relaxed structure of YbZnRh2, from the Materials Project.

Output
final energy	-24.22	eV/atom
calculated formation energy	-791	meV/atom
ρ	11.64	Mg/m³

a b c (Å): 4.4753 4.4753 4.4753
angles (deg): 60.00 60.00 60.00
Closest atoms and distances in Å follow each position.
Fractional coordinates of all 4 atoms:
Yb1 0.0000 0.0000 0.0000  8 Rh 2.74
Zn1 0.5000 0.5000 0.5000  8 Rh 2.74
Rh1 0.2500 0.2500 0.2500  4 Zn 2.74, 4 Yb 2.74
Rh2 0.7500 0.7500 0.7500  4 Zn 2.74, 4 Yb 2.74

10.
The following is a meta-GGA r2SCAN calculation of a relaxed structure of YbZrRh2, from the Materials Project.

Output
final energy	-27.83	eV/atom
calculated formation energy	-940	meV/atom
ρ	10.77	Mg/m³

a b c (Å): 4.6806 4.6806 4.6806
angles (deg): 60.00 60.00 60.00
Closest atoms and distances in Å follow each position.
Fractional coordinates of all 4 atoms:
Yb1 0.0000 0.0000 0.0000  8 Rh 2.87
Zr1 0.5000 0.5000 0.5000  8 Rh 2.87
Rh1 0.2500 0.2500 0.2500  4 Zr 2.87, 4 Yb 2.87
Rh2 0.7500 0.7500 0.7500  4 Zr 2.87, 4 Yb 2.87

11.
The following is a meta-GGA r2SCAN calculation of a relaxed structure of Zn11Rh2, from the Materials Project.

Output
final energy	-11.52	eV/atom
calculated formation energy	-269	meV/atom
ρ	8.43	Mg/m³

a b c (Å): 7.7937 7.7937 7.7937
angles (deg): 109.47 109.47 109.47
Closest atoms and distances in Å follow each position.
Fractional coordinates of all 26 atoms:
Zn1 0.0000 0.0000 0.7865  9 Zn 2.62-2.72, 3 Rh 2.65
Zn2 0.0000 0.2679 0.6490  2 Rh 2.58-2.60, 8 Zn 2.59-2.84
Zn3 0.0000 0.3558 0.3558  9 Zn 2.59-2.84, 2 Rh 2.75
Zn4 0.0000 0.6442 0.6442  9 Zn 2.59-2.84, 2 Rh 2.75
Zn5 0.0000 0.6490 0.2679  2 Rh 2.58-2.60, 8 Zn 2.59-2.84
Zn6 0.0000 0.7865 0.0000  9 Zn 2.62-2.72, 3 Rh 2.65
Zn7 0.2135 0.2135 0.2135  9 Zn 2.62-2.72, 3 Rh 2.65
Zn8 0.2679 0.0000 0.6490  2 Rh 2.58-2.60, 8 Zn 2.59-2.84
Zn9 0.2679 0.6490 0.0000  2 Rh 2.58-2.60, 8 Zn 2.59-2.84
Zn10 0.3510 0.3510 0.6190  2 Rh 2.58-2.60, 8 Zn 2.59-2.84
Zn11 0.3510 0.6190 0.3510  2 Rh 2.58-2.60, 8 Zn 2.59-2.84
Zn12 0.3558 0.0000 0.3558  9 Zn 2.59-2.84, 2 Rh 2.75
Zn13 0.3558 0.3558 0.0000  9 Zn 2.59-2.84, 2 Rh 2.75
Zn14 0.3810 0.7321 0.7321  2 Rh 2.58-2.60, 8 Zn 2.59-2.84
Zn15 0.6190 0.3510 0.3510  2 Rh 2.58-2.60, 8 Zn 2.59-2.84
Zn16 0.6442 0.0000 0.6442  9 Zn 2.59-2.84, 2 Rh 2.75
Zn17 0.6442 0.6442 0.0000  9 Zn 2.59-2.84, 2 Rh 2.75
Zn18 0.6490 0.0000 0.2679  2 Rh 2.58-2.60, 8 Zn 2.59-2.84
Zn19 0.6490 0.2679 0.0000  2 Rh 2.58-2.60, 8 Zn 2.59-2.84
Zn20 0.7321 0.3810 0.7321  2 Rh 2.58-2.60, 8 Zn 2.59-2.84
Zn21 0.7321 0.7321 0.3810  2 Rh 2.58-2.60, 8 Zn 2.59-2.84
Zn22 0.7865 0.0000 0.0000  9 Zn 2.62-2.72, 3 Rh 2.65
Rh1 0.0000 0.0000 0.3450  12 Zn 2.58-2.75
Rh2 0.0000 0.3450 0.0000  12 Zn 2.58-2.75
Rh3 0.3450 0.0000 0.0000  12 Zn 2.58-2.75
Rh4 0.6550 0.6550 0.6550  12 Zn 2.58-2.75

12.
The following is a meta-GGA r2SCAN calculation of a relaxed structure of Zr2Rh, from the Materials Project.

Output
final energy	-23.81	eV/atom
calculated formation energy	-598	meV/atom
ρ	7.93	Mg/m³

a b c (Å): 5.3948 5.3948 5.3948
angles (deg): 106.21 105.96 116.47
Closest atoms and distances in Å follow each position.
Fractional coordinates of all 6 atoms:
Zr1 0.1681 0.1679 0.3360  4 Rh 2.80, 1 Zr 3.08
Zr2 0.3319 0.6679 0.9999  4 Rh 2.80, 1 Zr 3.08
Zr3 0.6681 0.3321 0.0001  4 Rh 2.80, 1 Zr 3.08
Zr4 0.8319 0.8321 0.6640  4 Rh 2.80, 1 Zr 3.08
Rh1 0.2500 0.7500 0.5000  8 Zr 2.80, 2 Rh 2.84
Rh2 0.7500 0.2500 0.5000  8 Zr 2.80, 2 Rh 2.84